Entry 1:
The following is a PBE with a Hubbard U calculation of a geometry-optimized Li8Mn7VP12O48 structure, from the Materials Project.

- uncorrected energy (eV for the cell shown) = -534.96
- E_form (kcal/mol of atoms) = -57.8

```
data_Li8Mn7VP12O48
_chemical_formula_sum 'Li8 Mn7 V1 P12 O48'
_space_group_name_H-M_alt 'P 1'
_space_group_IT_number 1
_cell_length_a 8.549
_cell_length_b 8.824
_cell_length_c 12.068
_cell_angle_alpha 90.33
_cell_angle_beta 90.20
_cell_angle_gamma 90.55
loop_
_space_group_symop_operation_xyz
'x,y,z'
loop_
_atom_site_label
_atom_site_type_symbol
_atom_site_fract_x
_atom_site_fract_y
_atom_site_fract_z
Li1 Li 0.000 0.000 0.000
Li2 Li 0.001 0.053 0.363
Li3 Li 0.435 0.557 0.362
Li4 Li 0.436 0.503 0.998
Li5 Li 0.501 0.999 0.864
Li6 Li 0.504 0.055 0.504
Li7 Li 0.935 0.498 0.864
Li8 Li 0.939 0.554 0.500
Mn1 Mn 0.467 0.811 0.068
Mn2 Mn 0.469 0.313 0.794
Mn3 Mn 0.469 0.740 0.568
Mn4 Mn 0.970 0.313 0.069
Mn5 Mn 0.970 0.739 0.297
Mn6 Mn 0.971 0.812 0.795
Mn7 Mn 0.972 0.238 0.569
V1 V 0.475 0.238 0.294
P1 P 0.113 0.673 0.035
P2 P 0.116 0.378 0.332
P3 P 0.186 0.525 0.682
P4 P 0.253 0.027 0.683
P5 P 0.322 0.173 0.036
P6 P 0.325 0.883 0.329
P7 P 0.614 0.672 0.827
P8 P 0.618 0.381 0.531
P9 P 0.687 0.521 0.181
P10 P 0.755 0.023 0.179
P11 P 0.824 0.171 0.826
P12 P 0.826 0.881 0.536
O1 O 0.041 0.794 0.955
O2 O 0.047 0.255 0.412
O3 O 0.060 0.513 0.001
O4 O 0.063 0.717 0.152
O5 O 0.066 0.334 0.216
O6 O 0.070 0.537 0.367
O7 O 0.074 0.435 0.602
O8 O 0.077 0.613 0.764
O9 O 0.141 0.174 0.030
O10 O 0.144 0.884 0.340
O11 O 0.158 0.919 0.757
O12 O 0.159 0.133 0.607
O13 O 0.278 0.631 0.607
O14 O 0.280 0.418 0.756
O15 O 0.294 0.676 0.025
O16 O 0.300 0.367 0.340
O17 O 0.359 0.115 0.766
O18 O 0.359 0.944 0.601
O19 O 0.374 0.207 0.161
O20 O 0.374 0.838 0.213
O21 O 0.375 0.015 0.003
O22 O 0.384 0.048 0.359
O23 O 0.395 0.297 0.966
O24 O 0.397 0.766 0.409
O25 O 0.544 0.791 0.907
O26 O 0.549 0.259 0.446
O27 O 0.562 0.510 0.860
O28 O 0.564 0.333 0.644
O29 O 0.564 0.539 0.496
O30 O 0.566 0.713 0.709
O31 O 0.573 0.603 0.105
O32 O 0.574 0.425 0.261
O33 O 0.643 0.174 0.836
O34 O 0.645 0.880 0.525
O35 O 0.648 0.137 0.247
O36 O 0.656 0.914 0.109
O37 O 0.779 0.626 0.259
O38 O 0.781 0.413 0.109
O39 O 0.796 0.674 0.837
O40 O 0.799 0.377 0.520
O41 O 0.853 0.946 0.267
O42 O 0.858 0.111 0.098
O43 O 0.873 0.212 0.707
O44 O 0.876 0.009 0.859
O45 O 0.876 0.837 0.653
O46 O 0.880 0.044 0.504
O47 O 0.897 0.762 0.456
O48 O 0.898 0.290 0.904
```


Entry 2:
The following is a PBE with a Hubbard U calculation of a geometry-optimized Li6MnV3P6O24 structure, from the Materials Project.

- polymorph energy (0 for the lowest one) (eV/atom) = 0.047
- uncorrected energy (eV for the cell shown) = -1125.66
- E_form (kcal/mol of atoms) = -60.9

```
data_Li6MnV3P6O24
_chemical_formula_sum 'Li24 Mn4 V12 P24 O96'
_space_group_name_H-M_alt 'C 1 2/c 1'
_space_group_IT_number 15
_cell_length_a 16.635
_cell_length_b 11.717
_cell_length_c 11.806
_cell_angle_alpha 90.00
_cell_angle_beta 134.27
_cell_angle_gamma 90.00
loop_
_space_group_symop_operation_xyz
'x,y,z'
'-x,-y,-z'
'-x,y,-z+1/2'
'x,-y,z+1/2'
'x+1/2,y+1/2,z'
'-x+1/2,-y+1/2,-z'
'-x+1/2,y+1/2,-z+1/2'
'x+1/2,-y+1/2,z+1/2'
loop_
_atom_site_label
_atom_site_type_symbol
_atom_site_fract_x
_atom_site_fract_y
_atom_site_fract_z
Li1 Li 0.000 0.124 0.250
Li2 Li 0.000 0.375 0.750
Li3 Li 0.126 0.251 0.127
Li4 Li 0.250 0.000 0.373
Mn1 Mn 0.000 0.500 0.000
V1 V 0.000 0.000 0.000
V2 V 0.250 0.250 0.000
V3 V 0.250 0.250 0.500
P1 P 0.000 0.125 0.750
P2 P 0.000 0.375 0.250
P3 P 0.125 0.252 0.624
P4 P 0.248 0.001 0.623
O1 O 0.042 0.344 0.590
O2 O 0.043 0.161 0.494
O3 O 0.046 0.459 0.388
O4 O 0.049 0.042 0.708
O5 O 0.090 0.209 0.888
O6 O 0.091 0.293 0.292
O7 O 0.156 0.051 0.113
O8 O 0.166 0.450 0.208
O9 O 0.200 0.090 0.490
O10 O 0.203 0.409 0.911
O11 O 0.206 0.204 0.795
O12 O 0.208 0.301 0.615
```


Entry 3:
The following is a PBE with a Hubbard U calculation of a geometry-optimized Li3MnVP3O12 structure, from the Materials Project.

- polymorph energy (0 for the lowest one) (eV/atom) = 0.042
- uncorrected energy (eV for the cell shown) = -280.50
- E_form (kcal/mol of atoms) = -60.3

```
data_Li3MnVP3O12
_chemical_formula_sum 'Li6 Mn2 V2 P6 O24'
_space_group_name_H-M_alt 'P -1'
_space_group_IT_number 2
_cell_length_a 6.322
_cell_length_b 8.636
_cell_length_c 8.706
_cell_angle_alpha 95.57
_cell_angle_beta 105.36
_cell_angle_gamma 106.13
loop_
_space_group_symop_operation_xyz
'x,y,z'
'-x,-y,-z'
loop_
_atom_site_label
_atom_site_type_symbol
_atom_site_fract_x
_atom_site_fract_y
_atom_site_fract_z
Li1 Li 0.000 0.000 0.000
Li2 Li 0.247 0.506 0.497
Li3 Li 0.252 0.213 0.790
Li4 Li 0.500 0.000 0.000
Mn1 Mn 0.132 0.559 0.871
V1 V 0.361 0.120 0.444
P1 P 0.135 0.838 0.633
P2 P 0.249 0.783 0.211
P3 P 0.364 0.359 0.164
O1 O 0.024 0.672 0.235
O2 O 0.093 0.159 0.489
O3 O 0.105 0.654 0.643
O4 O 0.174 0.447 0.112
O5 O 0.203 0.953 0.794
O6 O 0.232 0.960 0.236
O7 O 0.272 0.759 0.037
O8 O 0.294 0.200 0.046
O9 O 0.327 0.903 0.548
O10 O 0.398 0.341 0.347
O11 O 0.405 0.515 0.839
O12 O 0.465 0.757 0.326
```


Entry 4:
The following is a PBE with a Hubbard U calculation of a geometry-optimized Li3MnVP3O12 structure, from the Materials Project.

- polymorph energy (0 for the lowest one) (eV/atom) = 0.039
- uncorrected energy (eV for the cell shown) = -280.62
- E_form (kcal/mol of atoms) = -60.3

```
data_Li3MnVP3O12
_chemical_formula_sum 'Li6 Mn2 V2 P6 O24'
_space_group_name_H-M_alt 'P 1'
_space_group_IT_number 1
_cell_length_a 8.662
_cell_length_b 8.715
_cell_length_c 8.728
_cell_angle_alpha 91.51
_cell_angle_beta 118.61
_cell_angle_gamma 119.09
loop_
_space_group_symop_operation_xyz
'x,y,z'
loop_
_atom_site_label
_atom_site_type_symbol
_atom_site_fract_x
_atom_site_fract_y
_atom_site_fract_z
Li1 Li 0.000 0.000 0.000
Li2 Li 0.000 0.149 0.500
Li3 Li 0.240 0.537 0.972
Li4 Li 0.243 0.853 0.472
Li5 Li 0.644 0.526 0.041
Li6 Li 0.645 0.268 0.543
Mn1 Mn 0.418 0.036 0.152
Mn2 Mn 0.825 0.240 0.934
V1 V 0.420 0.533 0.655
V2 V 0.833 0.736 0.438
P1 P 0.346 0.138 0.750
P2 P 0.348 0.359 0.250
P3 P 0.630 0.937 0.553
P4 P 0.632 0.843 0.051
P5 P 0.906 0.414 0.335
P6 P 0.907 0.639 0.835
O1 O 0.094 0.837 0.978
O2 O 0.097 0.411 0.477
O3 O 0.145 0.954 0.588
O4 O 0.146 0.337 0.089
O5 O 0.305 0.292 0.711
O6 O 0.311 0.162 0.214
O7 O 0.393 0.139 0.941
O8 O 0.393 0.406 0.442
O9 O 0.458 0.646 0.897
O10 O 0.462 0.964 0.404
O11 O 0.501 0.881 0.102
O12 O 0.506 0.774 0.604
O13 O 0.531 0.171 0.734
O14 O 0.534 0.509 0.239
O15 O 0.715 0.595 0.846
O16 O 0.719 0.270 0.348
O17 O 0.757 0.993 0.992
O18 O 0.758 0.911 0.492
O19 O 0.800 0.827 0.217
O20 O 0.807 0.125 0.724
O21 O 0.844 0.366 0.133
O22 O 0.844 0.627 0.634
O23 O 0.958 0.614 0.379
O24 O 0.962 0.496 0.878
```


Entry 5:
The following is a PBE with a Hubbard U calculation of a geometry-optimized Li6MnV3P6O24 structure, from the Materials Project.

- polymorph energy (0 for the lowest one) (eV/atom) = 0.039
- uncorrected energy (eV for the cell shown) = -563.42
- E_form (kcal/mol of atoms) = -61.0

```
data_Li6MnV3P6O24
_chemical_formula_sum 'Li12 Mn2 V6 P12 O48'
_space_group_name_H-M_alt 'P 1'
_space_group_IT_number 1
_cell_length_a 8.534
_cell_length_b 8.826
_cell_length_c 12.394
_cell_angle_alpha 90.26
_cell_angle_beta 92.64
_cell_angle_gamma 91.14
loop_
_space_group_symop_operation_xyz
'x,y,z'
loop_
_atom_site_label
_atom_site_type_symbol
_atom_site_fract_x
_atom_site_fract_y
_atom_site_fract_z
Li1 Li 0.000 0.000 0.000
Li2 Li 0.000 0.096 0.746
Li3 Li 0.290 0.191 0.447
Li4 Li 0.294 0.805 0.948
Li5 Li 0.492 0.396 0.748
Li6 Li 0.492 0.494 0.997
Li7 Li 0.498 0.495 0.496
Li8 Li 0.499 0.592 0.245
Li9 Li 0.707 0.190 0.045
Li10 Li 0.707 0.802 0.543
Li11 Li 0.999 0.901 0.244
Li12 Li 0.999 0.997 0.495
Mn1 Mn 0.210 0.499 0.848
Mn2 Mn 0.286 0.996 0.139
V1 V 0.211 0.495 0.352
V2 V 0.281 0.993 0.638
V3 V 0.714 0.992 0.855
V4 V 0.715 0.999 0.354
V5 V 0.786 0.495 0.640
V6 V 0.787 0.497 0.140
P1 P 0.155 0.350 0.599
P2 P 0.159 0.643 0.103
P3 P 0.348 0.849 0.393
P4 P 0.353 0.142 0.894
P5 P 0.495 0.702 0.744
P6 P 0.497 0.286 0.245
P7 P 0.648 0.142 0.600
P8 P 0.650 0.846 0.097
P9 P 0.844 0.641 0.392
P10 P 0.847 0.353 0.891
P11 P 0.994 0.200 0.244
P12 P 0.998 0.797 0.747
O1 O 0.011 0.585 0.392
O2 O 0.018 0.410 0.892
O3 O 0.052 0.089 0.157
O4 O 0.064 0.906 0.660
O5 O 0.125 0.709 0.810
O6 O 0.126 0.293 0.303
O7 O 0.141 0.172 0.583
O8 O 0.146 0.823 0.093
O9 O 0.249 0.594 0.207
O10 O 0.251 0.404 0.502
O11 O 0.252 0.933 0.479
O12 O 0.253 0.054 0.977
O13 O 0.254 0.394 0.701
O14 O 0.258 0.595 0.007
O15 O 0.270 0.902 0.285
O16 O 0.275 0.092 0.784
O17 O 0.344 0.674 0.407
O18 O 0.357 0.316 0.908
O19 O 0.375 0.188 0.180
O20 O 0.379 0.800 0.681
O21 O 0.419 0.598 0.832
O22 O 0.427 0.394 0.331
O23 O 0.471 0.102 0.587
O24 O 0.476 0.881 0.081
O25 O 0.525 0.890 0.404
O26 O 0.528 0.097 0.906
O27 O 0.565 0.591 0.661
O28 O 0.568 0.393 0.159
O29 O 0.613 0.189 0.308
O30 O 0.617 0.797 0.808
O31 O 0.654 0.317 0.586
O32 O 0.658 0.671 0.084
O33 O 0.721 0.092 0.710
O34 O 0.723 0.899 0.208
O35 O 0.745 0.057 0.515
O36 O 0.746 0.586 0.488
O37 O 0.749 0.592 0.288
O38 O 0.752 0.932 0.014
O39 O 0.753 0.402 0.788
O40 O 0.753 0.405 0.988
O41 O 0.855 0.176 0.904
O42 O 0.855 0.818 0.407
O43 O 0.867 0.297 0.188
O44 O 0.871 0.698 0.687
O45 O 0.928 0.093 0.334
O46 O 0.928 0.908 0.830
O47 O 0.989 0.407 0.603
O48 O 0.990 0.587 0.099
```


Entry 6:
The following is a PBE with a Hubbard U calculation of a geometry-optimized Li3MnVP3O12 structure, from the Materials Project.

- polymorph energy (0 for the lowest one) (eV/atom) = 0.012
- uncorrected energy (eV for the cell shown) = -563.40
- E_form (kcal/mol of atoms) = -61.0

```
data_Li3MnVP3O12
_chemical_formula_sum 'Li12 Mn4 V4 P12 O48'
_space_group_name_H-M_alt 'P 1 21 1'
_space_group_IT_number 4
_cell_length_a 8.699
_cell_length_b 8.748
_cell_length_c 12.293
_cell_angle_alpha 90.00
_cell_angle_beta 91.22
_cell_angle_gamma 90.00
loop_
_space_group_symop_operation_xyz
'x,y,z'
'-x,y+1/2,-z'
loop_
_atom_site_label
_atom_site_type_symbol
_atom_site_fract_x
_atom_site_fract_y
_atom_site_fract_z
Li1 Li 0.039 0.000 0.074
Li2 Li 0.163 0.928 0.490
Li3 Li 0.167 0.321 0.552
Li4 Li 0.327 0.130 0.947
Li5 Li 0.327 0.522 0.007
Li6 Li 0.459 0.452 0.428
Mn1 Mn 0.003 0.682 0.139
Mn2 Mn 0.004 0.760 0.647
V1 V 0.497 0.693 0.860
V2 V 0.497 0.768 0.361
P1 P 0.144 0.613 0.390
P2 P 0.145 0.322 0.094
P3 P 0.210 0.477 0.754
P4 P 0.289 0.978 0.743
P5 P 0.353 0.127 0.398
P6 P 0.354 0.837 0.103
O1 O 0.054 0.735 0.454
O2 O 0.078 0.270 0.200
O3 O 0.081 0.399 0.816
O4 O 0.097 0.482 0.055
O5 O 0.100 0.446 0.427
O6 O 0.102 0.197 0.005
O7 O 0.113 0.627 0.267
O8 O 0.142 0.590 0.668
O9 O 0.174 0.120 0.401
O10 O 0.179 0.820 0.082
O11 O 0.185 0.900 0.654
O12 O 0.200 0.091 0.814
O13 O 0.299 0.362 0.683
O14 O 0.316 0.553 0.842
O15 O 0.319 0.632 0.413
O16 O 0.325 0.326 0.093
O17 O 0.366 0.867 0.824
O18 O 0.398 0.003 0.068
O19 O 0.399 0.811 0.222
O20 O 0.400 0.249 0.487
O21 O 0.407 0.966 0.436
O22 O 0.416 0.059 0.679
O23 O 0.418 0.175 0.290
O24 O 0.441 0.716 0.032
```


Repeat the first record exactly.
The following is a PBE with a Hubbard U calculation of a geometry-optimized Li8Mn7VP12O48 structure, from the Materials Project.

- uncorrected energy (eV for the cell shown) = -534.96
- E_form (kcal/mol of atoms) = -57.8

```
data_Li8Mn7VP12O48
_chemical_formula_sum 'Li8 Mn7 V1 P12 O48'
_space_group_name_H-M_alt 'P 1'
_space_group_IT_number 1
_cell_length_a 8.549
_cell_length_b 8.824
_cell_length_c 12.068
_cell_angle_alpha 90.33
_cell_angle_beta 90.20
_cell_angle_gamma 90.55
loop_
_space_group_symop_operation_xyz
'x,y,z'
loop_
_atom_site_label
_atom_site_type_symbol
_atom_site_fract_x
_atom_site_fract_y
_atom_site_fract_z
Li1 Li 0.000 0.000 0.000
Li2 Li 0.001 0.053 0.363
Li3 Li 0.435 0.557 0.362
Li4 Li 0.436 0.503 0.998
Li5 Li 0.501 0.999 0.864
Li6 Li 0.504 0.055 0.504
Li7 Li 0.935 0.498 0.864
Li8 Li 0.939 0.554 0.500
Mn1 Mn 0.467 0.811 0.068
Mn2 Mn 0.469 0.313 0.794
Mn3 Mn 0.469 0.740 0.568
Mn4 Mn 0.970 0.313 0.069
Mn5 Mn 0.970 0.739 0.297
Mn6 Mn 0.971 0.812 0.795
Mn7 Mn 0.972 0.238 0.569
V1 V 0.475 0.238 0.294
P1 P 0.113 0.673 0.035
P2 P 0.116 0.378 0.332
P3 P 0.186 0.525 0.682
P4 P 0.253 0.027 0.683
P5 P 0.322 0.173 0.036
P6 P 0.325 0.883 0.329
P7 P 0.614 0.672 0.827
P8 P 0.618 0.381 0.531
P9 P 0.687 0.521 0.181
P10 P 0.755 0.023 0.179
P11 P 0.824 0.171 0.826
P12 P 0.826 0.881 0.536
O1 O 0.041 0.794 0.955
O2 O 0.047 0.255 0.412
O3 O 0.060 0.513 0.001
O4 O 0.063 0.717 0.152
O5 O 0.066 0.334 0.216
O6 O 0.070 0.537 0.367
O7 O 0.074 0.435 0.602
O8 O 0.077 0.613 0.764
O9 O 0.141 0.174 0.030
O10 O 0.144 0.884 0.340
O11 O 0.158 0.919 0.757
O12 O 0.159 0.133 0.607
O13 O 0.278 0.631 0.607
O14 O 0.280 0.418 0.756
O15 O 0.294 0.676 0.025
O16 O 0.300 0.367 0.340
O17 O 0.359 0.115 0.766
O18 O 0.359 0.944 0.601
O19 O 0.374 0.207 0.161
O20 O 0.374 0.838 0.213
O21 O 0.375 0.015 0.003
O22 O 0.384 0.048 0.359
O23 O 0.395 0.297 0.966
O24 O 0.397 0.766 0.409
O25 O 0.544 0.791 0.907
O26 O 0.549 0.259 0.446
O27 O 0.562 0.510 0.860
O28 O 0.564 0.333 0.644
O29 O 0.564 0.539 0.496
O30 O 0.566 0.713 0.709
O31 O 0.573 0.603 0.105
O32 O 0.574 0.425 0.261
O33 O 0.643 0.174 0.836
O34 O 0.645 0.880 0.525
O35 O 0.648 0.137 0.247
O36 O 0.656 0.914 0.109
O37 O 0.779 0.626 0.259
O38 O 0.781 0.413 0.109
O39 O 0.796 0.674 0.837
O40 O 0.799 0.377 0.520
O41 O 0.853 0.946 0.267
O42 O 0.858 0.111 0.098
O43 O 0.873 0.212 0.707
O44 O 0.876 0.009 0.859
O45 O 0.876 0.837 0.653
O46 O 0.880 0.044 0.504
O47 O 0.897 0.762 0.456
O48 O 0.898 0.290 0.904
```